Compound: NaFeP3O9
Source: the Materials Project database
Functional: PBE+U
Structure: optimized geometry

Structure (POSCAR):
```
NaFeP3O9
1.0
8.693 0.000 0.000
0.000 8.776 0.000
0.000 0.000 9.039
Na Fe P O
4 4 12 36
direct
0.118 0.098 0.143
0.382 0.902 0.643
0.618 0.402 0.857
0.882 0.598 0.357
0.107 0.877 0.409
0.393 0.123 0.909
0.607 0.623 0.591
0.893 0.377 0.091
0.058 0.948 0.810
0.074 0.718 0.062
0.230 0.556 0.559
0.270 0.444 0.059
0.426 0.282 0.562
0.442 0.052 0.310
0.558 0.552 0.190
0.574 0.782 0.938
0.730 0.944 0.441
0.770 0.056 0.941
0.926 0.218 0.438
0.942 0.448 0.690
0.030 0.794 0.905
0.056 0.117 0.389
0.102 0.904 0.656
0.115 0.518 0.695
0.126 0.838 0.169
0.134 0.357 0.118
0.140 0.630 0.436
0.162 0.055 0.894
0.217 0.612 0.009
0.283 0.388 0.509
0.338 0.945 0.394
0.360 0.370 0.936
0.366 0.643 0.618
0.374 0.162 0.669
0.385 0.482 0.195
0.398 0.096 0.156
0.444 0.883 0.889
0.470 0.206 0.405
0.530 0.706 0.095
0.556 0.383 0.611
0.602 0.596 0.344
0.615 0.982 0.305
0.626 0.662 0.831
0.634 0.143 0.882
0.640 0.870 0.564
0.662 0.445 0.106
0.717 0.888 0.991
0.783 0.112 0.491
0.838 0.555 0.606
0.860 0.130 0.064
0.866 0.857 0.382
0.874 0.338 0.331
0.885 0.018 0.805
0.898 0.404 0.844
0.944 0.617 0.111
0.970 0.294 0.595
```

Results
crystal system: orthorhombic
corrected total energy (MP2020 scheme): -7.562 eV/atom
size of the total moment: 4.00 μB/f.u.